No. 1
A plane-wave DFT calculation with PBE with a Hubbard U was carried out for a geometry-optimized Pr2FeP2O structure.

Computed properties:
ΔH_f (0 K) in kJ/mol of atoms: 7
Uncorrected energy in eV per atom: -5.071

Unit cell a=3.374 b=3.374 c=14.818 alpha=90.00 beta=90.00 gamma=90.00
Sites, in units of the cell vectors:
1 Pr 0.000 0.000 0.145
2 Pr 0.000 0.000 0.855
3 Fe 0.000 0.000 0.500
4 P 0.000 0.000 0.346
5 P 0.000 0.000 0.654
6 O 0.000 0.000 0.000

---

No. 2
A plane-wave DFT calculation with PBE with a Hubbard U was carried out for a geometry-optimized RbMg14WO16 structure.

Computed properties:
Distance to the lowest polymorph of the same formula in meV per atom: 0.0
ΔH_f (0 K) in kJ/mol of atoms: -257
Uncorrected energy in eV per atom: -5.792

Unit cell a=8.736 b=8.736 c=4.468 alpha=90.00 beta=90.00 gamma=90.00
Sites, in units of the cell vectors:
1 Rb 0.000 0.000 0.000
2 Mg 0.000 0.252 0.500
3 Mg 0.000 0.500 0.000
4 Mg 0.000 0.748 0.500
5 Mg 0.241 0.500 0.500
6 Mg 0.246 0.246 0.000
7 Mg 0.246 0.754 0.000
8 Mg 0.252 0.000 0.500
9 Mg 0.500 0.000 0.000
10 Mg 0.500 0.241 0.500
11 Mg 0.500 0.759 0.500
12 Mg 0.748 0.000 0.500
13 Mg 0.754 0.246 0.000
14 Mg 0.754 0.754 0.000
15 Mg 0.759 0.500 0.500
16 W 0.500 0.500 0.000
17 O 0.000 0.000 0.500
18 O 0.000 0.281 0.000
19 O 0.000 0.500 0.500
20 O 0.000 0.719 0.000
21 O 0.252 0.500 0.000
22 O 0.253 0.253 0.500
23 O 0.253 0.747 0.500
24 O 0.281 0.000 0.000
25 O 0.500 0.000 0.500
26 O 0.500 0.252 0.000
27 O 0.500 0.500 0.500
28 O 0.500 0.748 0.000
29 O 0.719 0.000 0.000
30 O 0.747 0.253 0.500
31 O 0.747 0.747 0.500
32 O 0.748 0.500 0.000

---

No. 3
A plane-wave DFT calculation with PBE with a Hubbard U was carried out for a geometry-optimized Li9Co7O16 structure.

Computed properties:
Distance to the lowest polymorph of the same formula in meV per atom: 56.7
ΔH_f (0 K) in kJ/mol of atoms: -164
Uncorrected energy in eV per atom: -5.563

Unit cell a=4.987 b=5.057 c=11.568 alpha=90.35 beta=90.71 gamma=108.84
Sites, in units of the cell vectors:
1 Li 0.000 0.000 0.000
2 Li 0.000 0.000 0.500
3 Li 0.001 0.001 0.248
4 Li 0.499 0.000 0.378
5 Li 0.499 0.999 0.123
6 Li 0.500 0.500 0.000
7 Li 0.501 0.000 0.622
8 Li 0.501 0.001 0.877
9 Li 0.999 0.999 0.752
10 Co 0.002 0.497 0.375
11 Co 0.006 0.500 0.879
12 Co 0.497 0.496 0.244
13 Co 0.500 0.500 0.500
14 Co 0.503 0.504 0.756
15 Co 0.994 0.500 0.121
16 Co 0.998 0.503 0.625
17 O 0.214 0.720 0.998
18 O 0.229 0.728 0.242
19 O 0.233 0.276 0.870
20 O 0.236 0.730 0.759
21 O 0.243 0.278 0.131
22 O 0.254 0.273 0.381
23 O 0.255 0.730 0.501
24 O 0.266 0.280 0.622
25 O 0.734 0.720 0.378
26 O 0.745 0.270 0.499
27 O 0.746 0.727 0.619
28 O 0.757 0.722 0.869
29 O 0.764 0.270 0.241
30 O 0.767 0.724 0.130
31 O 0.771 0.272 0.758
32 O 0.786 0.280 0.002

---

No. 4
A plane-wave DFT calculation with PBE with a Hubbard U was carried out for a geometry-optimized ZnNi2P2O9 structure.

Computed properties:
ΔH_f (0 K) in kJ/mol of atoms: -184
Uncorrected energy in eV per atom: -5.973

Unit cell a=14.441 b=6.235 c=6.954 alpha=90.00 beta=90.00 gamma=90.00
Sites, in units of the cell vectors:
1 Zn 0.227 0.250 0.114
2 Zn 0.273 0.750 0.614
3 Zn 0.727 0.250 0.386
4 Zn 0.773 0.750 0.886
5 Ni 0.000 0.000 0.000
6 Ni 0.000 0.500 0.000
7 Ni 0.126 0.250 0.640
8 Ni 0.374 0.750 0.140
9 Ni 0.500 0.000 0.500
10 Ni 0.500 0.500 0.500
11 Ni 0.626 0.250 0.860
12 Ni 0.874 0.750 0.360
13 P 0.072 0.750 0.631
14 P 0.197 0.750 0.116
15 P 0.303 0.250 0.616
16 P 0.428 0.250 0.131
17 P 0.572 0.750 0.869
18 P 0.697 0.750 0.384
19 P 0.803 0.250 0.884
20 P 0.928 0.250 0.369
21 O 0.001 0.750 0.473
22 O 0.018 0.750 0.823
23 O 0.046 0.250 0.846
24 O 0.140 0.539 0.105
25 O 0.140 0.961 0.105
26 O 0.142 0.562 0.628
27 O 0.142 0.938 0.628
28 O 0.227 0.250 0.452
29 O 0.242 0.250 0.802
30 O 0.258 0.750 0.302
31 O 0.273 0.750 0.952
32 O 0.358 0.062 0.128
33 O 0.358 0.438 0.128
34 O 0.360 0.039 0.605
35 O 0.360 0.461 0.605
36 O 0.454 0.750 0.346
37 O 0.482 0.250 0.323
38 O 0.499 0.250 0.973
39 O 0.501 0.750 0.027
40 O 0.518 0.750 0.677
41 O 0.546 0.250 0.654
42 O 0.640 0.539 0.395
43 O 0.640 0.961 0.395
44 O 0.642 0.562 0.872
45 O 0.642 0.938 0.872
46 O 0.727 0.250 0.048
47 O 0.742 0.250 0.698
48 O 0.758 0.750 0.198
49 O 0.773 0.750 0.548
50 O 0.858 0.062 0.372
51 O 0.858 0.438 0.372
52 O 0.860 0.039 0.895
53 O 0.860 0.461 0.895
54 O 0.954 0.750 0.154
55 O 0.982 0.250 0.177
56 O 0.999 0.250 0.527

---

No. 5
A plane-wave DFT calculation with PBE with a Hubbard U was carried out for a geometry-optimized MgTi3V5O16 structure.

Computed properties:
Distance to the lowest polymorph of the same formula in meV per atom: 32.1
ΔH_f (0 K) in kJ/mol of atoms: -272
Uncorrected energy in eV per atom: -8.038

Unit cell a=5.902 b=5.922 c=9.279 alpha=88.66 beta=88.41 gamma=60.96
Sites, in units of the cell vectors:
1 Mg 0.000 0.000 0.000
2 Ti 0.022 0.012 0.689
3 Ti 0.384 0.831 0.240
4 Ti 0.841 0.318 0.263
5 V 0.018 0.513 0.750
6 V 0.336 0.349 0.234
7 V 0.514 0.023 0.746
8 V 0.521 0.521 0.964
9 V 0.837 0.819 0.460
10 O 0.002 0.001 0.357
11 O 0.138 0.698 0.601
12 O 0.164 0.165 0.138
13 O 0.194 0.198 0.630
14 O 0.221 0.667 0.105
15 O 0.339 0.874 0.846
16 O 0.358 0.364 0.838
17 O 0.502 0.511 0.349
18 O 0.517 0.001 0.352
19 O 0.659 0.663 0.115
20 O 0.674 0.218 0.113
21 O 0.705 0.133 0.603
22 O 0.708 0.707 0.625
23 O 0.866 0.866 0.841
24 O 0.867 0.342 0.849
25 O 0.987 0.522 0.351

---

No. 6
A plane-wave DFT calculation with PBE with a Hubbard U was carried out for a geometry-optimized Ti2Mn3Co3O16 structure.

Computed properties:
ΔH_f (0 K) in kJ/mol of atoms: -183
Uncorrected energy in eV per atom: -7.018

Unit cell a=5.677 b=5.677 c=9.026 alpha=90.70 beta=90.70 gamma=60.24
Sites, in units of the cell vectors:
1 Ti 0.000 0.000 0.000
2 Ti 0.668 0.668 0.502
3 Mn 0.168 0.168 0.718
4 Mn 0.503 0.999 0.219
5 Mn 0.999 0.503 0.219
6 Co 0.168 0.672 0.717
7 Co 0.503 0.503 0.217
8 Co 0.672 0.168 0.717
9 O 0.000 0.000 0.609
10 O 0.002 0.504 0.605
11 O 0.168 0.168 0.103
12 O 0.173 0.665 0.106
13 O 0.297 0.851 0.838
14 O 0.336 0.336 0.323
15 O 0.337 0.337 0.822
16 O 0.372 0.811 0.337
17 O 0.497 0.497 0.610
18 O 0.504 0.002 0.605
19 O 0.665 0.173 0.106
20 O 0.668 0.668 0.108
21 O 0.811 0.372 0.337
22 O 0.817 0.817 0.342
23 O 0.851 0.297 0.838
24 O 0.855 0.855 0.833

---

No. 7
A plane-wave DFT calculation with PBE with a Hubbard U was carried out for a geometry-optimized Li2V3P4H4O19 structure.

Computed properties:
ΔH_f (0 K) in kJ/mol of atoms: -228
Uncorrected energy in eV per atom: -6.801

Unit cell a=10.509 b=9.257 c=8.823 alpha=90.00 beta=114.22 gamma=90.00
Sites, in units of the cell vectors:
1 Li 0.000 0.030 0.000
2 Li 0.000 0.970 0.500
3 Li 0.536 0.280 0.545
4 Li 0.536 0.720 0.045
5 V 0.206 0.253 0.083
6 V 0.206 0.747 0.583
7 V 0.500 0.244 0.988
8 V 0.500 0.756 0.488
9 V 0.816 0.256 0.938
10 V 0.816 0.744 0.438
11 P 0.233 0.455 0.796
12 P 0.233 0.545 0.296
13 P 0.257 0.001 0.367
14 P 0.257 0.999 0.867
15 P 0.732 0.003 0.141
16 P 0.732 0.997 0.641
17 P 0.750 0.455 0.209
18 P 0.750 0.545 0.709
19 H 0.136 0.429 0.530
20 H 0.136 0.571 0.030
21 H 0.345 0.097 0.625
22 H 0.345 0.903 0.125
23 H 0.642 0.098 0.382
24 H 0.642 0.902 0.882
25 H 0.848 0.431 0.477
26 H 0.848 0.569 0.977
27 O 0.135 0.376 0.629
28 O 0.135 0.624 0.129
29 O 0.151 0.087 0.909
30 O 0.151 0.913 0.409
31 O 0.173 0.089 0.211
32 O 0.173 0.911 0.711
33 O 0.174 0.422 0.926
34 O 0.174 0.578 0.426
35 O 0.229 0.381 0.269
36 O 0.229 0.619 0.769
37 O 0.342 0.114 0.511
38 O 0.342 0.886 0.011
39 O 0.364 0.094 0.834
40 O 0.364 0.906 0.334
41 O 0.377 0.232 0.116
42 O 0.377 0.768 0.616
43 O 0.383 0.402 0.853
44 O 0.383 0.598 0.353
45 O 0.601 0.398 0.147
46 O 0.601 0.602 0.647
47 O 0.610 0.230 0.887
48 O 0.610 0.770 0.387
49 O 0.618 0.094 0.164
50 O 0.618 0.906 0.664
51 O 0.654 0.117 0.499
52 O 0.654 0.883 0.999
53 O 0.744 0.379 0.733
54 O 0.744 0.621 0.233
55 O 0.813 0.083 0.799
56 O 0.813 0.917 0.299
57 O 0.815 0.425 0.084
58 O 0.815 0.575 0.584
59 O 0.838 0.091 0.102
60 O 0.838 0.909 0.602
61 O 0.849 0.380 0.378
62 O 0.849 0.620 0.878
63 O 0.993 0.266 0.999
64 O 0.993 0.734 0.499

---

No. 8
A plane-wave DFT calculation with PBE with a Hubbard U was carried out for a geometry-optimized Li2MnSi2O6 structure.

Computed properties:
Distance to the lowest polymorph of the same formula in meV per atom: 0.0
ΔH_f (0 K) in kJ/mol of atoms: -274
Uncorrected energy in eV per atom: -7.176

Unit cell a=7.305 b=10.513 c=7.382 alpha=110.57 beta=89.99 gamma=89.98
Sites, in units of the cell vectors:
1 O 0.882 0.673 0.113
2 O 0.238 0.725 0.219
3 O 0.987 0.225 0.507
4 O 0.566 0.482 0.224
5 O 0.738 0.725 0.719
6 O 0.567 0.517 0.776
7 O 0.316 0.983 0.260
8 O 0.487 0.225 0.007
9 O 0.382 0.673 0.613
10 O 0.631 0.173 0.561
11 O 0.238 0.274 0.781
12 O 0.067 0.517 0.276
13 O 0.738 0.274 0.281
14 O 0.316 0.016 0.741
15 O 0.131 0.173 0.061
16 O 0.881 0.325 0.887
17 O 0.816 0.016 0.241
18 O 0.132 0.826 0.939
19 O 0.816 0.983 0.760
20 O 0.488 0.774 0.993
21 O 0.632 0.826 0.439
22 O 0.381 0.325 0.387
23 O 0.066 0.482 0.724
24 O 0.988 0.774 0.493
25 Mn 0.467 0.999 0.500
26 Mn 0.967 0.999 0.000
27 Mn 0.717 0.500 0.000
28 Mn 0.217 0.500 0.500
29 Si 0.537 0.332 0.232
30 Si 0.287 0.167 0.899
31 Si 0.287 0.832 0.101
32 Si 0.037 0.332 0.732
33 Si 0.037 0.667 0.269
34 Si 0.537 0.667 0.769
35 Si 0.787 0.167 0.399
36 Si 0.787 0.832 0.601
37 Li 0.221 0.835 0.691
38 Li 0.471 0.664 0.356
39 Li 0.971 0.664 0.856
40 Li 0.721 0.164 0.809
41 Li 0.721 0.835 0.191
42 Li 0.221 0.164 0.309
43 Li 0.471 0.335 0.645
44 Li 0.971 0.335 0.145

---

No. 9
A plane-wave DFT calculation with PBE with a Hubbard U was carried out for a geometry-optimized Li3Mn2CoO6 structure.

Computed properties:
Distance to the lowest polymorph of the same formula in meV per atom: 1.8
ΔH_f (0 K) in kJ/mol of atoms: -193
Uncorrected energy in eV per atom: -6.314

Unit cell a=6.564 b=6.564 c=5.305 alpha=94.81 beta=94.81 gamma=83.10
Sites, in units of the cell vectors:
1 Li 0.076 0.408 0.222
2 Li 0.251 0.251 0.752
3 Li 0.408 0.076 0.222
4 Li 0.592 0.924 0.778
5 Li 0.749 0.749 0.248
6 Li 0.924 0.592 0.778
7 Mn 0.166 0.834 0.500
8 Mn 0.332 0.668 0.000
9 Mn 0.668 0.332 0.000
10 Mn 0.834 0.166 0.500
11 Co 0.000 0.000 0.000
12 Co 0.500 0.500 0.500
13 O 0.060 0.704 0.117
14 O 0.117 0.117 0.392
15 O 0.222 0.568 0.660
16 O 0.296 0.940 0.883
17 O 0.386 0.386 0.109
18 O 0.432 0.778 0.340
19 O 0.568 0.222 0.660
20 O 0.614 0.614 0.891
21 O 0.704 0.060 0.117
22 O 0.778 0.432 0.340
23 O 0.883 0.883 0.608
24 O 0.940 0.296 0.883

---

No. 10
A plane-wave DFT calculation with PBE with a Hubbard U was carried out for a geometry-optimized BaSmFe4O12 structure.

Computed properties:
ΔH_f (0 K) in kJ/mol of atoms: -158
Uncorrected energy in eV per atom: -6.229

Unit cell a=5.480 b=5.480 c=7.708 alpha=90.00 beta=90.00 gamma=90.00
Sites, in units of the cell vectors:
1 Ba 0.000 0.000 0.000
2 Sm 0.500 0.500 0.500
3 Fe 0.000 0.500 0.250
4 Fe 0.000 0.500 0.750
5 Fe 0.500 0.000 0.250
6 Fe 0.500 0.000 0.750
7 O 0.000 0.500 0.000
8 O 0.000 0.500 0.500
9 O 0.262 0.262 0.264
10 O 0.262 0.262 0.736
11 O 0.262 0.738 0.264
12 O 0.262 0.738 0.736
13 O 0.500 0.000 0.000
14 O 0.500 0.000 0.500
15 O 0.738 0.262 0.264
16 O 0.738 0.262 0.736
17 O 0.738 0.738 0.264
18 O 0.738 0.738 0.736

---

No. 11
A plane-wave DFT calculation with PBE with a Hubbard U was carried out for a geometry-optimized KTl2MoF6 structure.

Computed properties:
ΔH_f (0 K) in kJ/mol of atoms: -245
Uncorrected energy in eV per atom: -4.758

Unit cell a=6.553 b=6.553 c=6.553 alpha=60.00 beta=60.00 gamma=60.00
Sites, in units of the cell vectors:
1 K 0.000 0.000 0.000
2 Tl 0.250 0.250 0.250
3 Tl 0.750 0.750 0.750
4 Mo 0.500 0.500 0.500
5 F 0.274 0.274 0.726
6 F 0.274 0.726 0.274
7 F 0.274 0.726 0.726
8 F 0.726 0.274 0.274
9 F 0.726 0.274 0.726
10 F 0.726 0.726 0.274